(1)
## YAl3C3 (PBE)

Data for an optimized crystal structure of YAl3C3. Values from VASP.

## Properties
Total DFT energy (no corrections): -0.4970 Ry/atom
Energy of formation: -0.278 eV per atom
Crystal system: hexagonal
Space group: P6_3mc (186)
Total moment: 0.000 μB/atom

The structure in Quantum ESPRESSO input format:
```
&SYSTEM
  ibrav = 0, nat = 14, ntyp = 3
/
ATOMIC_SPECIES
Y 88.91 Y.upf
Al 26.98 Al.upf
C 12.01 C.upf
ATOMIC_POSITIONS crystal
Y 0.0000 0.0000 0.0000
Y 0.0000 0.0000 0.5000
Al 0.3333 0.6667 0.3636
Al 0.6667 0.3333 0.8636
Al 0.3333 0.6667 0.1364
Al 0.6667 0.3333 0.6364
Al 0.3333 0.6667 0.7453
Al 0.6667 0.3333 0.2453
C 0.3333 0.6667 0.5926
C 0.6667 0.3333 0.0926
C 0.3333 0.6667 0.9074
C 0.6667 0.3333 0.4074
C 0.3333 0.6667 0.2500
C 0.6667 0.3333 0.7500
CELL_PARAMETERS angstrom
1.4756 1.5368 2.6996
-1.6895 1.8762 -2.3351
-14.6535 -1.8885 9.0847
```

(2)
## NaSO4 (PBE)

Data for an optimized crystal structure of NaSO4. Values from VASP.

## Properties
Total DFT energy (no corrections): -0.4088 Ry/atom
Energy of formation: -1.812 eV per atom
Crystal system: triclinic
Space group: P-1 (2)
Total moment: 0.167 μB/atom

The structure in Quantum ESPRESSO input format:
```
&SYSTEM
  ibrav = 0, nat = 24, ntyp = 3
/
ATOMIC_SPECIES
Na 22.99 Na.upf
S 32.06 S.upf
O 16.00 O.upf
ATOMIC_POSITIONS crystal
Na 0.4514 0.3148 0.7272
Na 0.5486 0.6852 0.2728
Na 0.8527 0.1833 0.3246
Na 0.1473 0.8167 0.6754
S 0.3831 0.2063 0.2738
S 0.6169 0.7937 0.7262
S 0.9580 0.2970 0.7864
S 0.0420 0.7030 0.2136
O 0.3534 0.3028 0.0701
O 0.6466 0.6972 0.9299
O 0.4852 0.3375 0.3684
O 0.5148 0.6625 0.6316
O 0.1929 0.1429 0.3887
O 0.8071 0.8571 0.6113
O 0.5144 0.0362 0.2550
O 0.4856 0.9638 0.7450
O 0.8492 0.3192 0.9755
O 0.1508 0.6808 0.0245
O 0.1058 0.4542 0.7156
O 0.8942 0.5458 0.2844
O 0.0630 0.1078 0.8172
O 0.9370 0.8922 0.1828
O 0.8168 0.3056 0.6417
O 0.1832 0.6944 0.3583
CELL_PARAMETERS angstrom
-4.7760 -4.8677 0.7825
4.6004 -4.3052 3.1461
-1.3246 1.1471 6.8363
```

(3)
## LiNbO3 (PBE)

Data for an optimized crystal structure of LiNbO3. Values from VASP.

## Properties
Total DFT energy (no corrections): -0.5770 Ry/atom
Energy of formation: -2.892 eV per atom
Crystal system: triclinic
Space group: P1 (1)
Total moment: 0.000 μB/atom

The structure in Quantum ESPRESSO input format:
```
&SYSTEM
  ibrav = 0, nat = 60, ntyp = 3
/
ATOMIC_SPECIES
Li 6.94 Li.upf
Nb 92.91 Nb.upf
O 16.00 O.upf
ATOMIC_POSITIONS crystal
Li 0.7066 0.4115 0.0382
Li 0.2753 0.5508 0.2161
Li 0.0413 0.0825 0.1199
Li 0.9413 0.8835 0.3819
Li 0.6086 0.2160 0.2987
Li 0.6078 0.2167 0.5488
Li 0.2756 0.5500 0.4654
Li 0.2744 0.5499 0.7154
Li 0.9422 0.8834 0.6321
Li 0.9416 0.8831 0.8821
Li 0.6085 0.2165 0.7986
Li 0.2779 0.5569 0.9654
Nb 0.9817 0.9719 0.0027
Nb 0.6484 0.3012 0.1699
Nb 0.3286 0.6490 0.0878
Nb 0.3115 0.6217 0.3359
Nb 0.9772 0.9558 0.2521
Nb 0.9772 0.9538 0.5027
Nb 0.6434 0.2874 0.4193
Nb 0.6438 0.2872 0.6694
Nb 0.3098 0.6206 0.5861
Nb 0.3118 0.6226 0.8357
Nb 0.9767 0.9544 0.7526
Nb 0.6464 0.2923 0.9186
O 0.6263 0.0018 0.1241
O 0.5839 0.7810 0.0206
O 0.1179 0.8695 0.0624
O 0.5328 0.4512 0.1044
O 0.0811 0.5283 0.1455
O 0.2930 0.3378 0.2897
O 0.0496 0.3395 0.0405
O 0.2500 0.1387 0.1878
O 0.8015 0.2162 0.2290
O 0.2192 0.8023 0.2710
O 0.7477 0.8850 0.3122
O 0.9603 0.6708 0.4565
O 0.7059 0.6636 0.2079
O 0.9159 0.4681 0.3546
O 0.4707 0.5512 0.3959
O 0.8860 0.1342 0.4380
O 0.4138 0.2176 0.4793
O 0.6272 0.0043 0.6232
O 0.3776 0.0046 0.3730
O 0.5818 0.8011 0.5214
O 0.1374 0.8844 0.5628
O 0.5527 0.4676 0.6047
O 0.0803 0.5510 0.6461
O 0.2935 0.3379 0.7897
O 0.0440 0.3378 0.5398
O 0.2484 0.1344 0.6880
O 0.8039 0.2177 0.7294
O 0.2196 0.8011 0.7711
O 0.7470 0.8846 0.8126
O 0.9586 0.6712 0.9579
O 0.7106 0.6712 0.7065
O 0.9154 0.4704 0.8542
O 0.4715 0.5530 0.8956
O 0.8876 0.1355 0.9369
O 0.4187 0.2242 0.9786
O 0.3773 0.0052 0.8730
CELL_PARAMETERS angstrom
5.2396 0.0000 0.0000
-2.6147 4.9341 0.0000
-0.0031 -1.5428 25.9119
```

(4)
## ZnPbI6O24 (PBE)

Data for an optimized crystal structure of ZnPbI6O24. Values from VASP.

## Properties
Total DFT energy (no corrections): -0.2984 Ry/atom
Energy of formation: -0.424 eV per atom
Crystal system: triclinic
Space group: P-1 (2)
Total moment: 0.375 μB/atom

The structure in Quantum ESPRESSO input format:
```
&SYSTEM
  ibrav = 0, nat = 32, ntyp = 4
/
ATOMIC_SPECIES
Zn 65.41 Zn.upf
Pb 207.20 Pb.upf
I 126.90 I.upf
O 16.00 O.upf
ATOMIC_POSITIONS crystal
Zn 0.0000 0.0000 0.5000
Pb 0.0000 0.0000 0.0000
I 0.3653 0.9388 0.3295
I 0.6347 0.0612 0.6705
I 0.1677 0.4589 0.1990
I 0.8323 0.5411 0.8010
I 0.4936 0.2611 0.0031
I 0.5064 0.7389 0.9969
O 0.7122 0.9665 0.5302
O 0.2878 0.0335 0.4698
O 0.6349 0.3094 0.6365
O 0.3651 0.6906 0.3635
O 0.8907 0.0864 0.7950
O 0.1093 0.9136 0.2050
O 0.9672 0.2852 0.0669
O 0.0328 0.7148 0.9331
O 0.3643 0.2988 0.2430
O 0.6357 0.7012 0.7570
O 0.0352 0.4291 0.3189
O 0.9648 0.5709 0.6811
O 0.6938 0.9522 0.0184
O 0.3062 0.0478 0.9816
O 0.6958 0.5631 0.0220
O 0.3042 0.4369 0.9780
O 0.4928 0.7693 0.1608
O 0.5072 0.2307 0.8392
O 0.8618 0.2052 0.4021
O 0.1382 0.7948 0.5979
O 0.9193 0.7074 0.4030
O 0.0807 0.2926 0.5970
O 0.7799 0.4894 0.4733
O 0.2201 0.5106 0.5267
CELL_PARAMETERS angstrom
-1.6983 4.9518 -4.7609
-5.0865 2.1093 4.5159
8.2967 3.6268 6.0241
```

Question: total DFT energy (no corrections) of number 1 (YAl3C3)?
Answer: -0.4970 Ry/atom